LaZnO3 | PBE-GGA | optimized geometry

Properties
size of the total moment = 0.0 μB per cell
V = 12.12 A^3/atom
MP2020-corrected energy = -6.731 eV/atom
ΔH_f (0 K) = -2523 meV/atom

Lattice parameters (Å, degrees): 3.9281 3.9281 3.9281 90.00 90.00 90.00
Last column: nearest neighbours and their distance in Å.
Space group Pm-3m (No. 221)
Asymmetric unit:
La (0.0000, 0.0000, 0.0000) x1  12 O 2.78
Zn (0.5000, 0.5000, 0.5000) x1  6 O 1.96
O (0.0000, 0.5000, 0.5000) x3  2 Zn 1.96



GeBr4 | PBE-GGA | optimized geometry

Properties
V = 44.00 A^3/atom
energy above the lowest structure with this stoichiometry = 2.6 meV/atom
MP2020-corrected energy = -3.293 eV/atom
ΔH_f (0 K) = -1058 meV/atom

Lattice parameters (Å, degrees): 12.0738 12.0738 12.0738 90.00 90.00 90.00
Last column: nearest neighbours and their distance in Å.
Space group Pa-3 (No. 205)
Asymmetric unit:
Ge (0.1315, 0.1315, 0.1315) x8  4 Br 2.30-2.31
Br (0.0142, 0.2420, 0.0285) x24  1 Ge 2.31
Br (0.2417, 0.2417, 0.2417) x8  1 Ge 2.30



SrAg2C4N4O2 | PBE-GGA | optimized geometry

Properties
size of the total moment = 16.0 μB per cell
V = 21.07 A^3/atom
MP2020-corrected energy = -6.397 eV/atom
ΔH_f (0 K) = 334 meV/atom

Lattice parameters (Å, degrees): 8.2757 7.1565 18.5008 90.00 90.00 90.00
Last column: nearest neighbours and their distance in Å.
Space group Pbcm (No. 57)
Asymmetric unit:
Sr (0.1466, 0.2334, 0.2500) x4  4 N 2.62-2.73, 3 O 2.63-2.71
Ag (0.1119, 0.7500, 0.0000) x4  2 C 2.06
Ag (0.5000, 0.0000, 0.0000) x4  2 C 2.04
C (0.0992, 0.6213, 0.5995) x8  1 N 1.17
C (0.3981, 0.1092, 0.5912) x8  1 N 1.17
N (0.0812, 0.5519, 0.6563) x8  1 C 1.17
N (0.3350, 0.1698, 0.6428) x8  1 C 1.17
O (0.1598, 0.6001, 0.2500) x4  2 Sr 2.63-2.71, 2 N 2.86
O (0.3908, 0.5140, 0.7500) x4  1 Sr 2.69



Hf3Sb | PBE-GGA | optimized geometry

Properties
V = 22.49 A^3/atom
MP2020-corrected energy = -8.919 eV/atom
ΔH_f (0 K) = -419 meV/atom

Lattice parameters (Å, degrees): 11.2415 11.2415 5.6951 90.00 90.00 90.00
Last column: nearest neighbours and their distance in Å.
Space group I-4 (No. 82)
Asymmetric unit:
Hf (0.0233, 0.3535, 0.4785) x8  4 Sb 2.91-2.95, 3 Hf 3.11-3.21
Hf (0.0828, 0.8950, 0.2963) x8  2 Sb 2.92-3.05, 5 Hf 3.01-3.21
Hf (0.1866, 0.7846, 0.7361) x8  3 Sb 2.88-3.10, 3 Hf 3.03-3.18
Sb (0.0323, 0.2903, 0.9768) x8  9 Hf 2.88-3.10



SrSb4S7O6 | PBE-GGA | optimized geometry

Properties
size of the total moment = 0.0 μB per cell
V = 23.60 A^3/atom
ΔH_f (0 K) = -577 meV/atom

Lattice parameters (Å, degrees): 8.8040 7.2592 27.2755 90.00 102.86 90.00
Last column: nearest neighbours and their distance in Å.
Space group P2_1/c (No. 14)
Asymmetric unit:
Sr (0.0962, 0.1507, 0.2652) x4  5 O 2.50-2.75
Sb (0.0766, 0.5559, 0.6313) x4  1 O 1.92
Sb (0.1723, 0.0373, 0.5971) x4  3 S 2.45-2.50
Sb (0.2292, 0.6829, 0.9577) x4  3 S 2.46-2.58
Sb (0.3594, 0.1955, 0.9898) x4  3 S 2.49-2.64
S (0.0834, 0.2361, 0.5233) x4  1 Sb 2.46
S (0.0915, 0.0501, 0.3912) x4  2 Sb 2.50-2.58
S (0.2060, 0.5445, 0.4032) x4  2 Sb 2.46-2.56
S (0.2321, 0.2299, 0.1639) x4  2 Sb 2.45-2.53
S (0.3895, 0.5917, 0.5409) x4  2 Sb 2.49-2.64
S (0.4852, 0.6091, 0.9366) x4  2 Sb 2.50-2.59
S (0.4846, 0.6559, 0.1961) x4  2 O 1.45-1.46
O (0.0404, 0.6023, 0.6971) x4  1 Sb 1.92
O (0.1504, 0.7060, 0.7981) x4  1 O 1.36
O (0.1940, 0.5461, 0.2521) x4  1 O 1.36
O (0.2573, 0.6795, 0.2851) x4  2 O 1.36
O (0.3979, 0.2411, 0.3268) x4  1 S 1.46
O (0.4555, 0.0235, 0.2644) x4  1 S 1.45



Ho8In3Co | PBE-GGA | optimized geometry

Properties
V = 26.64 A^3/atom
ΔH_f (0 K) = -348 meV/atom

Lattice parameters (Å, degrees): 10.3187 10.3187 6.9327 90.00 90.00 120.00
Last column: nearest neighbours and their distance in Å.
Space group P6_3mc (No. 186)
Asymmetric unit:
Ho (0.0000, 0.0000, 0.2828) x2  6 In 3.37-3.40, 8 Ho 3.47-3.75
Ho (0.0689, 0.5345, 0.2916) x6  1 Co 2.81
Ho (0.1787, 0.3573, 0.0000) x6  1 Co 2.81, 2 In 3.07
Ho (0.3333, 0.6667, 0.6823) x2  1 Co 2.70
In (0.1626, 0.3253, 0.5362) x6  8 Ho 3.07-3.40
Co (0.3333, 0.6667, 0.0717) x2  7 Ho 2.70-2.81



Ca4Ni3C5 | PBE-GGA | optimized geometry

Properties
V = 15.73 A^3/atom
ΔH_f (0 K) = -182 meV/atom

Lattice parameters (Å, degrees): 11.1187 3.7650 9.7909 90.00 112.88 90.00
Last column: nearest neighbours and their distance in Å.
Space group C2/m (No. 12)
Asymmetric unit:
Ca (0.1013, 0.0000, 0.3988) x4  5 C 2.55-2.81
Ca (0.2442, 0.5000, 0.1632) x4  5 C 2.56-2.78
Ni (0.0000, 0.0000, 0.0000) x2  2 C 1.88
Ni (0.0415, 0.5000, 0.8364) x4  2 C 1.81-1.83
C (0.0000, 0.5000, 0.0000) x2  4 Ni 1.83-1.88
C (0.1020, 0.5000, 0.6890) x4  1 C 1.30
C (0.1729, 0.5000, 0.6102) x4  1 C 1.30



Sm3Mg2TiS8 | PBE-GGA | optimized geometry

Properties
size of the total moment = 3.0 μB per cell
V = 24.61 A^3/atom
MP2020-corrected energy = -6.122 eV/atom
ΔH_f (0 K) = -1954 meV/atom

Lattice parameters (Å, degrees): 7.9287 7.9287 18.9853 90.00 90.00 120.00
Last column: nearest neighbours and their distance in Å.
Space group R-3m (No. 166, hexagonal axes)
Asymmetric unit:
Sm (0.0000, 0.5000, 0.0000) x9  6 S 2.75-2.80
Mg (0.0000, 0.0000, 0.1249) x6  4 S 2.43-2.53
Ti (0.0000, 0.0000, 0.5000) x3  6 S 2.58
S (0.0000, 0.0000, 0.2530) x6  1 Mg 2.43
S (0.0229, 0.5114, 0.2428) x18  1 Mg 2.53, 1 Ti 2.58, 2 Sm 2.80



NdSi2Rh | PBE-GGA | optimized geometry

Properties
size of the total moment = 0.0 μB per cell
V = 18.85 A^3/atom
ΔH_f (0 K) = -929 meV/atom

Lattice parameters (Å, degrees): 4.2677 16.7351 4.2225 90.00 90.00 90.00
Last column: nearest neighbours and their distance in Å.
Space group Cmcm (No. 63)
Asymmetric unit:
Nd (0.0000, 0.1042, 0.2500) x4  10 Si 3.19-3.24, 4 Rh 3.26
Si (0.0000, 0.2503, 0.7500) x4  4 Rh 2.41-2.43
Si (0.0000, 0.4609, 0.2500) x4  1 Rh 2.36, 2 Si 2.48
Rh (0.0000, 0.3196, 0.2500) x4  5 Si 2.36-2.43



LaAlPt | PBE-GGA | optimized geometry

Properties
V = 21.96 A^3/atom
ΔH_f (0 K) = -1055 meV/atom

Lattice parameters (Å, degrees): 7.3114 4.5676 7.8918 90.00 90.00 90.00
Last column: nearest neighbours and their distance in Å.
Space group Pnma (No. 62)
Asymmetric unit:
La (0.0342, 0.2500, 0.1807) x4  3 Pt 2.95-3.11, 3 Al 3.16-3.29
Al (0.1435, 0.2500, 0.5685) x4  4 Pt 2.63-2.74
Pt (0.2136, 0.7500, 0.3895) x4  4 Al 2.63-2.74, 1 La 2.95



ScB2Os | PBE-GGA | optimized geometry

Properties
V = 11.39 A^3/atom
ΔH_f (0 K) = -680 meV/atom

Lattice parameters (Å, degrees): 5.6699 5.1994 6.1821 90.00 90.00 90.00
Last column: nearest neighbours and their distance in Å.
Space group Pnma (No. 62)
Asymmetric unit:
Sc (0.0110, 0.2500, 0.1705) x4  6 B 2.49-2.62
B (0.1446, 0.5805, 0.4663) x8  2 B 1.76-1.89
Os (0.1776, 0.2500, 0.6795) x4  6 B 2.17-2.22